[1]
VASP calculation (PBE) on a relaxed structure of Mg6GaBO8.

Cell: 4.242 4.242 8.665 Å, 90.00 90.00 90.00°
Space group P4/mmm (No. 123)
One atom of each set of equivalent atoms:
Mg1 0.000 0.000 0.000 (multiplicity 1)
Mg2 0.000 0.500 0.251 (multiplicity 4)
Mg3 0.500 0.500 0.000 (multiplicity 1)
Ga1 0.000 0.000 0.500 (multiplicity 1)
B1 0.500 0.500 0.500 (multiplicity 1)
O1 0.000 0.000 0.256 (multiplicity 2)
O2 0.000 0.500 0.000 (multiplicity 2)
O3 0.000 0.500 0.500 (multiplicity 2)
O4 0.500 0.500 0.238 (multiplicity 2)

Summary:
ΔE_f: -2.372 eV per atom
VASP energy: -5.710 eV/atom
ΔE to the lowest computed polymorph: 28 meV/atom
theoretical density: 3.8 g cm⁻³



[2]
VASP calculation (PBE) on a relaxed structure of Mg6GaBO8.

Cell: 4.262 4.262 8.610 Å, 90.00 90.00 90.00°
Space group P4/mmm (No. 123)
One atom of each set of equivalent atoms:
Mg1 0.000 0.000 0.000 (multiplicity 1)
Mg2 0.000 0.000 0.500 (multiplicity 1)
Mg3 0.000 0.500 0.241 (multiplicity 4)
Ga1 0.500 0.500 0.500 (multiplicity 1)
B1 0.500 0.500 0.000 (multiplicity 1)
O1 0.000 0.000 0.250 (multiplicity 2)
O2 0.000 0.500 0.000 (multiplicity 2)
O3 0.000 0.500 0.500 (multiplicity 2)
O4 0.500 0.500 0.273 (multiplicity 2)

Summary:
ΔE_f: -2.400 eV per atom
VASP energy: -5.738 eV/atom
ΔE to the lowest computed polymorph: 0 meV/atom
theoretical density: 3.8 g cm⁻³



[3]
VASP calculation (PBE) on a relaxed structure of Na3GaB4O9.

Cell: 6.281 8.782 6.882 Å, 90.00 99.02 90.00°
Space group P2_1/m (No. 11)
One atom of each set of equivalent atoms:
Na1 0.077 0.250 0.007 (multiplicity 2)
Na2 0.246 0.534 0.323 (multiplicity 4)
Ga1 0.293 0.250 0.636 (multiplicity 2)
B1 0.254 0.545 0.780 (multiplicity 4)
B2 0.378 0.750 0.026 (multiplicity 2)
B3 0.485 0.250 0.281 (multiplicity 2)
O1 0.137 0.086 0.722 (multiplicity 4)
O2 0.235 0.611 0.959 (multiplicity 4)
O3 0.284 0.250 0.365 (multiplicity 2)
O4 0.383 0.608 0.654 (multiplicity 4)
O5 0.424 0.750 0.238 (multiplicity 2)
O6 0.434 0.250 0.069 (multiplicity 2)

Summary:
ΔE_f: -2.642 eV per atom
VASP energy: -6.881 eV/atom
theoretical density: 2.9 g cm⁻³



[4]
VASP calculation (PBE) on a relaxed structure of NdGa3B4O12.

Cell: 9.5960 9.5960 7.6238 Å, 90.00 90.00 120.00°
Space group R32 (No. 155, hexagonal axes)
One atom of each set of equivalent atoms:
Nd1 0.0000 0.0000 0.0000 (multiplicity 3)
Ga1 0.0000 0.4485 0.0000 (multiplicity 9)
B1 0.0000 0.0000 0.5000 (multiplicity 3)
B2 0.0000 0.5553 0.5000 (multiplicity 9)
O1 0.0000 0.1452 0.5000 (multiplicity 9)
O2 0.0000 0.4099 0.5000 (multiplicity 9)
O3 0.0275 0.8125 0.1866 (multiplicity 18)

Summary:
ΔE_f: -2.774 eV per atom
VASP energy: -7.359 eV/atom
theoretical density: 4.8 g cm⁻³



[5]
VASP calculation (PBE) on a relaxed structure of Ga3Ni27B14.

Cell: 8.645 10.716 8.817 Å, 90.00 90.74 90.00°
Space group P2_1/m (No. 11)
One atom of each set of equivalent atoms:
Ga1 0.106 0.250 0.247 (multiplicity 2)
Ga2 0.141 0.750 0.164 (multiplicity 2)
Ga3 0.278 0.250 0.670 (multiplicity 2)
Ni1 0.027 0.750 0.430 (multiplicity 2)
Ni2 0.037 0.607 0.962 (multiplicity 4)
Ni3 0.089 0.600 0.649 (multiplicity 4)
Ni4 0.092 0.107 0.776 (multiplicity 4)
Ni5 0.162 0.006 0.215 (multiplicity 4)
Ni6 0.174 0.099 0.484 (multiplicity 4)
Ni7 0.205 0.250 0.977 (multiplicity 2)
Ni8 0.209 0.750 0.826 (multiplicity 2)
Ni9 0.263 0.621 0.418 (multiplicity 4)
Ni10 0.345 0.616 0.018 (multiplicity 4)
Ni11 0.374 0.250 0.369 (multiplicity 2)
Ni12 0.384 0.085 0.849 (multiplicity 4)
Ni13 0.388 0.115 0.129 (multiplicity 4)
Ni14 0.391 0.618 0.687 (multiplicity 4)
Ni15 0.431 0.750 0.242 (multiplicity 2)
Ni16 0.458 0.094 0.570 (multiplicity 4)
B1 0.037 0.554 0.418 (multiplicity 4)
B2 0.188 0.052 0.990 (multiplicity 4)
B3 0.219 0.552 0.830 (multiplicity 4)
B4 0.227 0.750 0.589 (multiplicity 2)
B5 0.367 0.057 0.361 (multiplicity 4)
B6 0.399 0.560 0.234 (multiplicity 4)
B7 0.423 0.750 0.498 (multiplicity 2)
B8 0.444 0.750 0.855 (multiplicity 2)
B9 0.457 0.250 0.965 (multiplicity 2)

Summary:
ΔE_f: -0.320 eV per atom
VASP energy: -6.199 eV/atom
theoretical density: 7.9 g cm⁻³



[6]
VASP calculation (PBE) on a relaxed structure of GaNi9B8.

Cell: 7.115 8.121 10.744 Å, 90.00 90.00 90.00°
Space group Cmcm (No. 63)
One atom of each set of equivalent atoms:
Ga1 0.000 0.086 0.250 (multiplicity 4)
Ni1 0.000 0.000 0.000 (multiplicity 4)
Ni2 0.000 0.290 0.081 (multiplicity 8)
Ni3 0.191 0.431 0.614 (multiplicity 16)
Ni4 0.224 0.173 0.750 (multiplicity 8)
B1 0.000 0.221 0.620 (multiplicity 8)
B2 0.000 0.352 0.750 (multiplicity 4)
B3 0.000 0.435 0.250 (multiplicity 4)
B4 0.211 0.172 0.551 (multiplicity 16)

Summary:
ΔE_f: -0.253 eV per atom
VASP energy: -6.280 eV/atom
theoretical density: 7.3 g cm⁻³



[7]
VASP calculation (PBE) on a relaxed structure of Ga2Ni21B6.

Cell: 10.465 10.465 10.465 Å, 90.00 90.00 90.00°
Space group Fm-3m (No. 225)
One atom of each set of equivalent atoms:
Ga1 0.250 0.250 0.250 (multiplicity 8)
Ni1 0.000 0.000 0.000 (multiplicity 4)
Ni2 0.000 0.169 0.169 (multiplicity 48)
Ni3 0.117 0.117 0.383 (multiplicity 32)
B1 0.000 0.000 0.273 (multiplicity 24)

Summary:
ΔE_f: -0.304 eV per atom
VASP energy: -6.080 eV/atom
theoretical density: 8.3 g cm⁻³



[8]
VASP calculation (PBE) on a relaxed structure of Ga2B3O8.

Cell: 10.551 7.546 10.784 Å, 90.00 90.00 90.00°
Space group Cmce (No. 64)
One atom of each set of equivalent atoms:
Ga1 0.000 0.206 0.132 (multiplicity 8)
Ga2 0.148 0.000 0.500 (multiplicity 8)
B1 0.125 0.151 0.867 (multiplicity 16)
B2 0.250 0.101 0.250 (multiplicity 8)
O1 0.000 0.041 0.612 (multiplicity 8)
O2 0.000 0.055 0.855 (multiplicity 8)
O3 0.129 0.238 0.988 (multiplicity 16)
O4 0.136 0.216 0.265 (multiplicity 16)
O5 0.228 0.014 0.861 (multiplicity 16)

Summary:
ΔE_f: -2.426 eV per atom
VASP energy: -7.055 eV/atom
theoretical density: 4.6 g cm⁻³



[9]
VASP calculation (PBE) on a relaxed structure of Ga4B2O9.

Cell: 15.300 5.784 10.974 Å, 90.00 133.64 90.00°
Space group Cm (No. 8)
One atom of each set of equivalent atoms:
Ga1 0.000 0.000 0.000 (multiplicity 2)
Ga2 0.007 0.000 0.558 (multiplicity 2)
Ga3 0.142 0.000 0.457 (multiplicity 2)
Ga4 0.237 0.249 0.321 (multiplicity 4)
Ga5 0.240 0.248 0.830 (multiplicity 4)
Ga6 0.317 0.500 0.166 (multiplicity 2)
B1 0.205 0.000 0.046 (multiplicity 2)
B2 0.216 0.500 0.553 (multiplicity 2)
B3 0.485 0.000 0.602 (multiplicity 2)
B4 0.486 0.000 0.027 (multiplicity 2)
O1 0.050 0.295 0.665 (multiplicity 4)
O2 0.075 0.000 0.928 (multiplicity 2)
O3 0.107 0.500 0.166 (multiplicity 2)
O4 0.123 0.000 0.243 (multiplicity 2)
O5 0.186 0.000 0.672 (multiplicity 2)
O6 0.208 0.294 0.480 (multiplicity 4)
O7 0.233 0.500 0.693 (multiplicity 2)
O8 0.249 0.000 0.960 (multiplicity 2)
O9 0.257 0.212 0.163 (multiplicity 4)
O10 0.284 0.500 0.970 (multiplicity 2)
O11 0.342 0.500 0.422 (multiplicity 2)
O12 0.360 0.000 0.479 (multiplicity 2)
O13 0.421 0.209 0.955 (multiplicity 4)
O14 0.484 0.500 0.360 (multiplicity 2)

Summary:
ΔE_f: -2.441 eV per atom
VASP energy: -6.696 eV/atom
ΔE to the lowest computed polymorph: 0 meV/atom
theoretical density: 4.2 g cm⁻³



[10]
VASP calculation (PBE) on a relaxed structure of Ga4B2O9.

Cell: 15.983 5.694 11.423 Å, 90.00 134.25 90.00°
Space group C2/m (No. 12)
One atom of each set of equivalent atoms:
Ga1 0.005 0.000 0.138 (multiplicity 4)
Ga2 0.244 0.500 0.740 (multiplicity 4)
Ga3 0.250 0.250 0.000 (multiplicity 4)
Ga4 0.250 0.250 0.500 (multiplicity 4)
B1 0.003 0.500 0.217 (multiplicity 4)
B2 0.205 0.000 0.708 (multiplicity 4)
O1 0.056 0.285 0.851 (multiplicity 8)
O2 0.100 0.000 0.095 (multiplicity 4)
O3 0.124 0.500 0.355 (multiplicity 4)
O4 0.159 0.000 0.366 (multiplicity 4)
O5 0.197 0.208 0.635 (multiplicity 8)
O6 0.216 0.500 0.872 (multiplicity 4)
O7 0.219 0.000 0.843 (multiplicity 4)

Summary:
ΔE_f: -2.404 eV per atom
VASP energy: -6.659 eV/atom
ΔE to the lowest computed polymorph: 37 meV/atom
theoretical density: 4.0 g cm⁻³